No. 1
DFT (r²SCAN) results for a relaxed structure of W2NCl9. Values from VASP.

The structure in Quantum ESPRESSO input format:
```
&SYSTEM
  ibrav = 0, nat = 48, ntyp = 3
/
ATOMIC_SPECIES
W 183.84 W.upf
N 14.01 N.upf
Cl 35.45 Cl.upf
ATOMIC_POSITIONS crystal
W 0.189 0.188 0.461
W 0.311 0.188 0.961
W 0.689 0.812 0.039
W 0.907 0.814 0.043
W 0.093 0.186 0.957
W 0.593 0.814 0.543
W 0.811 0.812 0.539
W 0.407 0.186 0.457
N 0.695 0.817 0.542
N 0.195 0.183 0.958
N 0.305 0.183 0.458
N 0.805 0.817 0.042
Cl 0.812 0.130 0.473
Cl 0.446 0.202 0.964
Cl 0.570 0.497 0.615
Cl 0.430 0.503 0.385
Cl 0.054 0.202 0.464
Cl 0.190 0.371 0.208
Cl 0.197 0.000 0.715
Cl 0.188 0.870 0.527
Cl 0.799 0.494 0.607
Cl 0.075 0.849 0.035
Cl 0.299 0.506 0.893
Cl 0.201 0.506 0.393
Cl 0.575 0.000 0.290
Cl 0.690 0.629 0.292
Cl 0.310 0.371 0.708
Cl 0.575 0.651 0.790
Cl 0.697 0.000 0.785
Cl 0.925 0.000 0.790
Cl 0.575 0.151 0.465
Cl 0.925 0.651 0.290
Cl 0.425 0.349 0.210
Cl 0.070 0.503 0.885
Cl 0.701 0.494 0.107
Cl 0.425 0.849 0.535
Cl 0.554 0.798 0.036
Cl 0.946 0.798 0.536
Cl 0.803 0.000 0.285
Cl 0.688 0.130 0.973
Cl 0.810 0.629 0.792
Cl 0.425 0.000 0.710
Cl 0.075 0.349 0.710
Cl 0.075 0.000 0.210
Cl 0.925 0.151 0.965
Cl 0.312 0.870 0.027
Cl 0.303 0.000 0.215
Cl 0.930 0.497 0.115
CELL_PARAMETERS angstrom
16.924 0.000 0.000
0.000 8.779 -0.026
0.000 8.745 8.710
```

Total moment (μB per cell): 0.000
Calculated total energy (eV per cell): -713.2

No. 2
DFT (r²SCAN) results for a relaxed structure of Y2NCl3. Values from VASP.

The structure in Quantum ESPRESSO input format:
```
&SYSTEM
  ibrav = 0, nat = 12, ntyp = 3
/
ATOMIC_SPECIES
Y 88.91 Y.upf
N 14.01 N.upf
Cl 35.45 Cl.upf
ATOMIC_POSITIONS crystal
Y 0.137 0.019 0.708
Y 0.863 0.981 0.292
Y 0.412 0.221 0.954
Y 0.588 0.779 0.046
N 0.576 0.004 0.843
N 0.424 0.996 0.157
Cl 0.949 0.354 0.748
Cl 0.051 0.646 0.252
Cl 0.337 0.814 0.513
Cl 0.663 0.186 0.487
Cl 0.226 0.662 0.885
Cl 0.774 0.338 0.115
CELL_PARAMETERS angstrom
0.579 -3.761 -0.421
3.948 -0.548 -7.080
9.440 -0.712 1.944
```

Total moment (μB per cell): 0.000
Calculated total energy (eV per cell): -165.3

No. 3
DFT (r²SCAN) results for a relaxed structure of Zn2NCl. Values from VASP.

The structure in Quantum ESPRESSO input format:
```
&SYSTEM
  ibrav = 0, nat = 16, ntyp = 3
/
ATOMIC_SPECIES
Zn 65.41 Zn.upf
N 14.01 N.upf
Cl 35.45 Cl.upf
ATOMIC_POSITIONS crystal
Zn 0.850 0.380 0.325
Zn 0.350 0.620 0.675
Zn 0.350 0.120 0.825
Zn 0.850 0.880 0.175
Zn 0.701 0.471 0.949
Zn 0.201 0.529 0.051
Zn 0.201 0.029 0.449
Zn 0.701 0.971 0.551
N 0.902 0.578 0.127
N 0.402 0.422 0.873
N 0.402 0.922 0.627
N 0.902 0.078 0.373
Cl 0.403 0.417 0.379
Cl 0.903 0.583 0.621
Cl 0.903 0.083 0.879
Cl 0.403 0.917 0.121
CELL_PARAMETERS angstrom
5.929 0.000 0.000
0.000 6.125 0.000
0.000 0.000 7.333
```

Total moment (μB per cell): 0.000
Calculated total energy (eV per cell): -142.2

No. 4
DFT (r²SCAN) results for a relaxed structure of NaCl7. Values from VASP.

The structure in Quantum ESPRESSO input format:
```
&SYSTEM
  ibrav = 0, nat = 8, ntyp = 2
/
ATOMIC_SPECIES
Na 22.99 Na.upf
Cl 35.45 Cl.upf
ATOMIC_POSITIONS crystal
Na 0.000 0.000 0.000
Cl 0.500 0.500 0.500
Cl 0.000 0.171 0.500
Cl 0.000 0.829 0.500
Cl 0.500 0.000 0.171
Cl 0.500 0.000 0.829
Cl 0.171 0.500 0.000
Cl 0.829 0.500 0.000
CELL_PARAMETERS angstrom
-0.508 5.600 -1.929
-4.275 0.993 4.010
4.100 1.730 3.942
```

Total moment (μB per cell): 0.000
Calculated total energy (eV per cell): -48.4

No. 5
DFT (r²SCAN) results for a relaxed structure of NaCl. Values from VASP.

The structure in Quantum ESPRESSO input format:
```
&SYSTEM
  ibrav = 0, nat = 2, ntyp = 2
/
ATOMIC_SPECIES
Na 22.99 Na.upf
Cl 35.45 Cl.upf
ATOMIC_POSITIONS crystal
Na 0.000 0.000 0.000
Cl 0.500 0.500 0.500
CELL_PARAMETERS angstrom
-3.306 1.302 -1.728
-2.774 -2.570 -1.147
-3.443 -0.183 1.931
```

Total moment (μB per cell): 0.000
Calculated total energy (eV per cell): -13.8

No. 6
DFT (r²SCAN) results for a relaxed structure of NaCl3. Values from VASP.

The structure in Quantum ESPRESSO input format:
```
&SYSTEM
  ibrav = 0, nat = 16, ntyp = 2
/
ATOMIC_SPECIES
Na 22.99 Na.upf
Cl 35.45 Cl.upf
ATOMIC_POSITIONS crystal
Na 0.250 0.051 0.821
Na 0.250 0.449 0.321
Na 0.750 0.949 0.179
Na 0.750 0.551 0.679
Cl 0.250 0.358 0.642
Cl 0.250 0.142 0.142
Cl 0.750 0.642 0.358
Cl 0.750 0.858 0.858
Cl 0.250 0.788 0.581
Cl 0.250 0.712 0.081
Cl 0.750 0.212 0.419
Cl 0.750 0.288 0.919
Cl 0.250 0.551 0.880
Cl 0.250 0.949 0.380
Cl 0.750 0.449 0.120
Cl 0.750 0.051 0.620
CELL_PARAMETERS angstrom
0.000 5.631 0.000
0.000 0.000 8.000
8.416 0.000 0.000
```

Total moment (μB per cell): 0.000
Calculated total energy (eV per cell): -103.1

No. 7
DFT (r²SCAN) results for a relaxed structure of Na3Cl. Values from VASP.

The structure in Quantum ESPRESSO input format:
```
&SYSTEM
  ibrav = 0, nat = 4, ntyp = 2
/
ATOMIC_SPECIES
Na 22.99 Na.upf
Cl 35.45 Cl.upf
ATOMIC_POSITIONS crystal
Na 0.000 0.000 0.500
Na 0.500 0.500 0.826
Na 0.500 0.500 0.174
Cl 0.000 0.000 0.000
CELL_PARAMETERS angstrom
3.486 0.000 0.000
0.000 3.486 0.000
0.000 0.000 9.487
```

Total moment (μB per cell): 0.000
Calculated total energy (eV per cell): -20.3

No. 8
DFT (r²SCAN) results for a relaxed structure of NaNbCl6. Values from VASP.

The structure in Quantum ESPRESSO input format:
```
&SYSTEM
  ibrav = 0, nat = 32, ntyp = 3
/
ATOMIC_SPECIES
Na 22.99 Na.upf
Nb 92.91 Nb.upf
Cl 35.45 Cl.upf
ATOMIC_POSITIONS crystal
Na 0.809 0.206 0.747
Na 0.309 0.794 0.753
Na 0.191 0.794 0.253
Na 0.691 0.206 0.247
Nb 0.715 0.742 0.615
Nb 0.215 0.258 0.885
Nb 0.285 0.258 0.385
Nb 0.785 0.742 0.115
Cl 0.821 0.615 0.238
Cl 0.321 0.385 0.262
Cl 0.179 0.385 0.762
Cl 0.679 0.615 0.738
Cl 0.603 0.448 0.094
Cl 0.103 0.552 0.406
Cl 0.397 0.552 0.906
Cl 0.897 0.448 0.594
Cl 0.495 0.919 0.157
Cl 0.995 0.081 0.343
Cl 0.505 0.081 0.843
Cl 0.005 0.919 0.657
Cl 0.746 0.893 0.007
Cl 0.246 0.107 0.493
Cl 0.254 0.108 0.993
Cl 0.754 0.892 0.507
Cl 0.965 0.043 0.155
Cl 0.465 0.957 0.345
Cl 0.035 0.957 0.845
Cl 0.535 0.043 0.655
Cl 0.079 0.585 0.090
Cl 0.579 0.415 0.410
Cl 0.921 0.415 0.909
Cl 0.421 0.585 0.591
CELL_PARAMETERS angstrom
6.897 0.000 0.000
0.000 6.451 0.058
0.000 0.344 19.252
```

Total moment (μB per cell): 0.000
Calculated total energy (eV per cell): -310.3